(1)
Density functional theory data (PBE-GGA) for a geometry-optimized Tm2Ni2Sn structure.

Values from the calculation:
Total DFT energy (no corrections)   -55.20 eV for the cell shown
DFT formation energy   -0.616 eV/atom

Cell: 7.2726 7.2726 3.6667 Å, 90.00 90.00 90.00°
With the nearest neighbours (Å) after each atom.
Atoms (fractional coordinates):
Tm: 0.1738 0.3262 0.0000  6 Ni 2.80-2.85
Tm: 0.3262 0.8262 0.0000  6 Ni 2.80-2.85
Tm: 0.6738 0.1738 0.0000  6 Ni 2.80-2.85
Tm: 0.8262 0.6738 0.0000  6 Ni 2.80-2.85
Ni: 0.1210 0.6210 0.5000  1 Ni 2.49
Ni: 0.3790 0.1210 0.5000  1 Ni 2.49
Ni: 0.6210 0.8790 0.5000  1 Ni 2.49
Ni: 0.8790 0.3790 0.5000  1 Ni 2.49
Sn: 0.0000 0.0000 0.5000  4 Ni 2.89
Sn: 0.5000 0.5000 0.5000  4 Ni 2.89

---

(2)
Density functional theory data (PBE-GGA) for a geometry-optimized LiPm2Co structure.

Values from the calculation:
Total DFT energy (no corrections)   -18.46 eV for the cell shown
DFT formation energy   0.016 eV/atom

Cell: 4.9747 4.9747 4.9747 Å, 60.00 60.00 60.00°
With the nearest neighbours (Å) after each atom.
Atoms (fractional coordinates):
Li: 0.0000 0.0000 0.0000  8 Pm 3.05
Pm: 0.2500 0.2500 0.2500  4 Co 3.05, 4 Li 3.05
Pm: 0.7500 0.7500 0.7500  4 Li 3.05, 4 Co 3.05
Co: 0.5000 0.5000 0.5000  8 Pm 3.05

---

(3)
Density functional theory data (PBE-GGA) for a geometry-optimized Fe3Ni3Pt2 structure.

Values from the calculation:
Total DFT energy (no corrections)   -56.12 eV for the cell shown
Spin magnetization   1.360 μB per atom
DFT formation energy   -0.153 eV/atom

Cell: 3.6478 3.6816 7.2305 Å, 90.00 90.00 90.00°
With the nearest neighbours (Å) after each atom.
Atoms (fractional coordinates):
Fe: 0.0000 0.0000 0.0000  4 Fe 2.55, 4 Pt 2.58, 4 Ni 2.59
Fe: 0.5000 0.0000 0.2461  2 Fe 2.55, 6 Ni 2.56-2.60, 4 Pt 2.59
Fe: 0.5000 0.0000 0.7539  2 Fe 2.55, 6 Ni 2.56-2.60, 4 Pt 2.59
Ni: 0.0000 0.0000 0.5000  4 Pt 2.58, 4 Fe 2.59, 4 Ni 2.59
Ni: 0.5000 0.5000 0.0000  8 Fe 2.56-2.59, 4 Pt 2.57
Ni: 0.5000 0.5000 0.5000  4 Pt 2.57, 4 Ni 2.59, 4 Fe 2.60
Pt: 0.0000 0.5000 0.2504  6 Ni 2.57-2.58, 6 Fe 2.58-2.59
Pt: 0.0000 0.5000 0.7496  6 Ni 2.57-2.58, 6 Fe 2.58-2.59

---

(4)
Density functional theory data (PBE-GGA) for a geometry-optimized DyAlO3 structure.

Values from the calculation:
Total DFT energy (no corrections)   -79.47 eV for the cell shown
Corrected total energy (MP2020 scheme)   -83.6 eV for the cell shown
Spin magnetization   0.000 μB per atom
DFT formation energy   -3.720 eV/atom

Cell: 5.2371 5.2371 5.2371 Å, 60.92 60.92 60.92°
With the nearest neighbours (Å) after each atom.
Atoms (fractional coordinates):
Dy: 0.2500 0.2500 0.2500  3 O 2.25
Dy: 0.7500 0.7500 0.7500  3 O 2.25
Al: 0.0000 0.0000 0.0000  6 O 1.91
Al: 0.5000 0.5000 0.5000  6 O 1.91
O: 0.1744 0.7500 0.3256  2 Al 1.91
O: 0.2500 0.6744 0.8256  2 Al 1.91
O: 0.3256 0.1744 0.7500  2 Al 1.91
O: 0.6744 0.8256 0.2500  2 Al 1.91
O: 0.7500 0.3256 0.1744  2 Al 1.91
O: 0.8256 0.2500 0.6744  2 Al 1.91